VASP calculation (GGA+U) on a relaxed Li3Co4O8 crystal.

```
Li3Co4O8
1.0
-3.411 3.657 2.669
-0.992 -1.202 -5.481
-1.065 -4.081 3.894
O Li Co
8 3 4
Direct
0.280 0.510 0.720 O
0.718 0.490 0.282 O
0.796 0.516 0.721 O
0.691 0.958 0.285 O
0.204 0.484 0.280 O
0.306 0.041 0.717 O
0.172 0.932 0.287 O
0.825 0.067 0.716 O
0.997 0.999 0.502 Li
0.499 0.001 0.001 Li
0.493 0.500 0.007 Li
0.001 0.002 0.001 Co
0.498 0.000 0.501 Co
0.499 0.500 0.501 Co
0.999 0.500 0.501 Co
```

* final energy: -5.247 eV per atom
* total magnetic moment: 11.0 μB per cell
* energy of formation: -1134 meV per atom

VASP calculation (GGA+U) on a relaxed Li3Co4O8 crystal.

```
Li3Co4O8
1.0
5.791 0.000 0.000
-2.896 1.666 4.869
0.000 -9.969 -0.009
O Li Co
16 6 8
Direct
0.120 0.273 0.383 O
0.404 0.287 0.131 O
0.870 0.712 0.123 O
0.114 0.712 0.873 O
0.386 0.289 0.632 O
0.902 0.288 0.627 O
0.348 0.727 0.117 O
0.659 0.288 0.377 O
0.617 0.713 0.369 O
0.878 0.724 0.616 O
0.597 0.711 0.868 O
0.654 0.276 0.884 O
0.888 0.291 0.127 O
0.098 0.709 0.373 O
0.339 0.709 0.622 O
0.130 0.291 0.878 O
0.252 0.999 0.743 Li
0.996 0.997 0.500 Li
0.753 0.001 0.757 Li
0.748 0.001 0.258 Li
0.500 0.003 0.000 Li
0.247 0.999 0.242 Li
0.755 0.500 0.250 Co
0.999 0.499 0.500 Co
0.501 0.504 0.000 Co
0.248 0.500 0.250 Co
0.756 0.500 0.750 Co
0.497 0.496 0.500 Co
0.245 0.500 0.750 Co
0.000 0.501 0.000 Co
```

* final energy: -5.659 eV per atom
* total magnetic moment: 6.0 μB per cell
* energy of formation: -1546 meV per atom